No. 1
PmMg3 | PBE-GGA | optimized geometry

For the final energy, the calculation gives -2.482 eV per atom. The formation energy comes out at -9.0 kJ/mol of atoms.

abc: 6.7796 6.7796 5.2115
angles: 90.00 90.00 120.00
Element x y z (fractional)
Pm 0.6667 0.3333 0.2500
Pm 0.3333 0.6667 0.7500
Mg 0.1621 0.3241 0.2500
Mg 0.1621 0.8379 0.2500
Mg 0.6759 0.8379 0.2500
Mg 0.3241 0.1621 0.7500
Mg 0.8379 0.1621 0.7500
Mg 0.8379 0.6759 0.7500

---

No. 2
Pm2MgS4 | PBE-GGA | optimized geometry

For the final energy, the calculation gives -5.763 eV per atom. The value obtained for the total energy after the MP2020 corrections is -6.050 eV per atom. The formation energy comes out at -202.7 kJ/mol of atoms.

abc: 16.1748 16.1748 16.1748
angles: 60.00 60.00 60.00
Element x y z (fractional)
Pm 0.3125 0.0625 0.3125
Pm 0.3125 0.0625 0.8125
Pm 0.3125 0.5625 0.3125
Pm 0.3125 0.5625 0.8125
Pm 0.8125 0.0625 0.3125
Pm 0.8125 0.0625 0.8125
Pm 0.8125 0.5625 0.3125
Pm 0.8125 0.5625 0.8125
Pm 0.3125 0.3125 0.0625
Pm 0.3125 0.3125 0.5625
Pm 0.3125 0.8125 0.0625
Pm 0.3125 0.8125 0.5625
Pm 0.8125 0.3125 0.0625
Pm 0.8125 0.3125 0.5625
Pm 0.8125 0.8125 0.0625
Pm 0.8125 0.8125 0.5625
Pm 0.0625 0.3125 0.3125
Pm 0.0625 0.3125 0.8125
Pm 0.0625 0.8125 0.3125
Pm 0.0625 0.8125 0.8125
Pm 0.5625 0.3125 0.3125
Pm 0.5625 0.3125 0.8125
Pm 0.5625 0.8125 0.3125
Pm 0.5625 0.8125 0.8125
Pm 0.3125 0.3125 0.3125
Pm 0.3125 0.3125 0.8125
Pm 0.3125 0.8125 0.3125
Pm 0.3125 0.8125 0.8125
Pm 0.8125 0.3125 0.3125
Pm 0.8125 0.3125 0.8125
Pm 0.8125 0.8125 0.3125
Pm 0.8125 0.8125 0.8125
Mg 0.0000 0.0000 0.0000
Mg 0.0000 0.0000 0.5000
Mg 0.0000 0.5000 0.0000
Mg 0.0000 0.5000 0.5000
Mg 0.5000 0.0000 0.0000
Mg 0.5000 0.0000 0.5000
Mg 0.5000 0.5000 0.0000
Mg 0.5000 0.5000 0.5000
Mg 0.1250 0.1250 0.1250
Mg 0.1250 0.1250 0.6250
Mg 0.1250 0.6250 0.1250
Mg 0.1250 0.6250 0.6250
Mg 0.6250 0.1250 0.1250
Mg 0.6250 0.1250 0.6250
Mg 0.6250 0.6250 0.1250
Mg 0.6250 0.6250 0.6250
S 0.1889 0.1889 0.1889
S 0.1889 0.1889 0.6889
S 0.1889 0.6889 0.1889
S 0.1889 0.6889 0.6889
S 0.6889 0.1889 0.1889
S 0.6889 0.1889 0.6889
S 0.6889 0.6889 0.1889
S 0.6889 0.6889 0.6889
S 0.4334 0.1889 0.1889
S 0.4334 0.1889 0.6889
S 0.4334 0.6889 0.1889
S 0.4334 0.6889 0.6889
S 0.9334 0.1889 0.1889
S 0.9334 0.1889 0.6889
S 0.9334 0.6889 0.1889
S 0.9334 0.6889 0.6889
S 0.1889 0.4334 0.1889
S 0.1889 0.4334 0.6889
S 0.1889 0.9334 0.1889
S 0.1889 0.9334 0.6889
S 0.6889 0.4334 0.1889
S 0.6889 0.4334 0.6889
S 0.6889 0.9334 0.1889
S 0.6889 0.9334 0.6889
S 0.1889 0.1889 0.4334
S 0.1889 0.1889 0.9334
S 0.1889 0.6889 0.4334
S 0.1889 0.6889 0.9334
S 0.6889 0.1889 0.4334
S 0.6889 0.1889 0.9334
S 0.6889 0.6889 0.4334
S 0.6889 0.6889 0.9334
S 0.4361 0.4361 0.1916
S 0.4361 0.4361 0.6916
S 0.4361 0.9361 0.1916
S 0.4361 0.9361 0.6916
S 0.9361 0.4361 0.1916
S 0.9361 0.4361 0.6916
S 0.9361 0.9361 0.1916
S 0.9361 0.9361 0.6916
S 0.4361 0.1916 0.4361
S 0.4361 0.1916 0.9361
S 0.4361 0.6916 0.4361
S 0.4361 0.6916 0.9361
S 0.9361 0.1916 0.4361
S 0.9361 0.1916 0.9361
S 0.9361 0.6916 0.4361
S 0.9361 0.6916 0.9361
S 0.1916 0.4361 0.4361
S 0.1916 0.4361 0.9361
S 0.1916 0.9361 0.4361
S 0.1916 0.9361 0.9361
S 0.6916 0.4361 0.4361
S 0.6916 0.4361 0.9361
S 0.6916 0.9361 0.4361
S 0.6916 0.9361 0.9361
S 0.4361 0.4361 0.4361
S 0.4361 0.4361 0.9361
S 0.4361 0.9361 0.4361
S 0.4361 0.9361 0.9361
S 0.9361 0.4361 0.4361
S 0.9361 0.4361 0.9361
S 0.9361 0.9361 0.4361
S 0.9361 0.9361 0.9361

---

No. 3
Pm2MgS4 | PBE-GGA | optimized geometry

For the final energy, the calculation gives -5.790 eV per atom. The value obtained for the total energy after the MP2020 corrections is -6.077 eV per atom. The formation energy comes out at -205.3 kJ/mol of atoms.

abc: 13.8996 8.1553 6.6224
angles: 90.00 90.00 90.00
Element x y z (fractional)
Pm 0.0000 0.0000 0.5000
Pm 0.5000 0.0000 0.0000
Pm 0.5000 0.5000 0.0000
Pm 0.0000 0.5000 0.5000
Pm 0.2311 0.7500 0.9987
Pm 0.7689 0.2500 0.0013
Pm 0.2689 0.2500 0.4987
Pm 0.7311 0.7500 0.5013
Mg 0.0932 0.2500 0.9222
Mg 0.9068 0.7500 0.0778
Mg 0.4068 0.7500 0.4222
Mg 0.5932 0.2500 0.5778
S 0.1681 0.0154 0.7469
S 0.8319 0.9846 0.2531
S 0.3319 0.9846 0.2469
S 0.6681 0.0154 0.7531
S 0.6681 0.4846 0.7531
S 0.3319 0.5154 0.2469
S 0.8319 0.5154 0.2531
S 0.1681 0.4846 0.7469
S 0.0672 0.7500 0.2439
S 0.9328 0.2500 0.7561
S 0.4328 0.2500 0.7439
S 0.5672 0.7500 0.2561
S 0.0923 0.2500 0.2858
S 0.9077 0.7500 0.7142
S 0.4077 0.7500 0.7858
S 0.5923 0.2500 0.2142